La2RuO5: relaxed, PBE-GGA.

a = 5.8753 Å, b = 8.0082 Å, c = 9.2526 Å
α = 78.86°, β = 88.20°, γ = 89.79°
With the nearest neighbours (Å) after each atom.
Space group P-1 (No. 2)
Unique sites:
La: 0.2310 0.1203 0.0531 (multiplicity 2)  4 O 2.35-2.54
La: 0.2504 0.4615 0.6747 (multiplicity 2)  5 O 2.34-2.61
La: 0.2581 0.6186 0.0530 (multiplicity 2)  4 O 2.36-2.47
La: 0.2603 0.9627 0.6703 (multiplicity 2)  4 O 2.36-2.46
Ru: 0.2441 0.2894 0.3525 (multiplicity 2)  6 O 1.92-2.09
Ru: 0.2481 0.7864 0.3526 (multiplicity 2)  6 O 1.93-2.10
O: 0.0185 0.2267 0.7793 (multiplicity 2)  1 Ru 2.03
O: 0.0250 0.3770 0.1858 (multiplicity 2)  1 Ru 2.06
O: 0.0270 0.7096 0.5161 (multiplicity 2)  2 Ru 1.97
O: 0.1514 0.0407 0.3403 (multiplicity 2)  2 Ru 2.09-2.10
O: 0.1729 0.8972 0.9259 (multiplicity 2)  4 La 2.35-2.38
O: 0.3368 0.5351 0.3641 (multiplicity 2)  2 Ru 2.06-2.07
O: 0.3424 0.3964 0.9233 (multiplicity 2)  4 La 2.34-2.39
O: 0.4566 0.8701 0.1890 (multiplicity 2)  1 Ru 1.93
O: 0.4735 0.1906 0.5155 (multiplicity 2)  2 Ru 2.09-2.10
O: 0.4979 0.2769 0.2190 (multiplicity 2)  1 Ru 1.92

Summary:
As for the distance to the lowest polymorph of the same formula: 16.3 meV/atom. Its theoretical density is 7.14 g/cm³.